Record 1
CeTeCl: optimized geometry, PBE.

Structure (extended XYZ):
```
6
Lattice="4.4920 0.0000 0.0000 0.0000 4.4920 0.0000 0.0000 0.0000 8.2611" Properties=species:S:1:pos:R:3 pbc="T T T"
Ce 0.0000 2.2460 6.2662
Ce 2.2460 0.0000 1.9949
Te 0.0000 2.2460 3.0002
Te 2.2460 0.0000 5.2609
Cl 0.0000 0.0000 0.0000
Cl 2.2460 2.2460 0.0000
```

Values from the calculation:
The crystal system is tetragonal. Its volume is 166.69 Å³/cell. The formation enthalpy at 0 K comes out at -1.9572 eV per atom. The total magnetic moment is 2.000 μB/cell.

=====

Record 2
CeTeCl: optimized geometry, PBE.

Structure (extended XYZ):
```
12
Lattice="-2.6993 0.0202 -3.5803 6.2434 -1.2868 -4.7143 -1.2478 -9.3084 0.8883" Properties=species:S:1:pos:R:3 pbc="T T T"
Ce 0.0230 -6.1944 -1.4561
Ce 2.8529 -9.0147 -3.6055
Ce 2.2735 -4.3806 -5.9503
Ce -0.5565 -1.5603 -3.8008
Te 1.7937 -3.6812 -2.7769
Te 5.1205 -2.7947 -5.2801
Te 0.5027 -6.8938 -4.6294
Te -2.8241 -7.7803 -2.1263
Cl 4.0236 -6.3252 -4.4730
Cl 0.4291 -9.2089 -1.7792
Cl -1.7272 -4.2498 -2.9334
Cl 1.8674 -1.3661 -5.6271
```

Values from the calculation:
The crystal system is orthorhombic. Its volume is 335.37 Å³/cell. The formation enthalpy at 0 K comes out at -1.9639 eV per atom. The total magnetic moment is 4.000 μB/cell.

=====

Record 3
CeCo5: optimized geometry, PBE.

Structure (extended XYZ):
```
6
Lattice="2.4409 -4.2278 0.0000 2.4409 4.2278 0.0000 0.0000 0.0000 4.0246" Properties=species:S:1:pos:R:3 pbc="T T T"
Ce 0.0000 0.0000 0.0000
Co 2.4409 -1.4093 0.0000
Co 2.4409 1.4093 0.0000
Co 2.4409 0.0000 2.0123
Co 1.2205 -2.1139 2.0123
Co 1.2205 2.1139 2.0123
```

Values from the calculation:
The crystal system is hexagonal. Its volume is 83.06 Å³/cell. The formation enthalpy at 0 K comes out at -0.1097 eV per atom.

=====

Record 4
CeCo3: optimized geometry, PBE.

Structure (extended XYZ):
```
12
Lattice="8.4518 -2.4470 0.0000 8.4518 2.4470 0.0000 7.7433 0.0000 4.1787" Properties=species:S:1:pos:R:3 pbc="T T T"
Ce 21.2231 0.0000 3.5982
Ce 3.4239 0.0000 0.5805
Ce 0.0000 0.0000 0.0000
Co 8.1802 0.0000 1.3869
Co 14.2109 0.0000 3.8317
Co 10.4361 0.0000 0.3471
Co 16.4668 0.0000 2.7918
Co 10.0845 1.2144 2.4209
Co 14.5625 1.2144 1.7578
Co 14.5625 -1.2144 1.7578
Co 12.3235 0.0000 2.0894
Co 10.0845 -1.2144 2.4209
```

Values from the calculation:
The crystal system is trigonal. Its volume is 172.85 Å³/cell. The formation enthalpy at 0 K comes out at -0.1676 eV per atom.

=====

Record 5
CeCo3Cu2: optimized geometry, PBE.

Structure (extended XYZ):
```
6
Lattice="2.4725 -4.2825 0.0000 2.4725 4.2825 0.0000 0.0000 0.0000 4.0206" Properties=species:S:1:pos:R:3 pbc="T T T"
Ce 0.0000 0.0000 0.0000
Co 2.4725 0.0000 2.0103
Co 1.2362 -2.1412 2.0103
Co 1.2362 2.1412 2.0103
Cu 2.4725 -1.4275 0.0000
Cu 2.4725 1.4275 0.0000
```

Values from the calculation:
The crystal system is hexagonal. Its volume is 85.14 Å³/cell. The formation enthalpy at 0 K comes out at -0.0855 eV per atom. The total magnetic moment is 2.847 μB/cell.

=====

Record 6
Ce2Co16Cu: optimized geometry, PBE.

Structure (extended XYZ):
```
38
Lattice="5.8555 -5.4639 -1.3495 5.0391 6.0760 -2.7453 -0.0429 -2.0451 8.1033" Properties=species:S:1:pos:R:3 pbc="T T T"
Ce 4.7904 2.0129 0.5434
Ce 6.0614 -3.4459 3.4651
Ce 4.3372 -6.1306 7.0926
Ce 6.5145 4.6976 -3.0841
Co 7.7615 -0.1121 -2.4728
Co 6.2656 -2.4785 0.6263
Co 9.1608 0.4246 1.4285
Co 6.2774 -1.9017 -1.6636
Co 9.1739 1.0274 -0.9582
Co 7.7362 -1.2920 2.2034
Co 3.0902 -1.3209 6.4814
Co 4.5861 1.0456 3.3822
Co 1.6909 -1.8576 2.5800
Co 4.5743 0.4688 5.6722
Co 1.6778 -2.4604 4.9668
Co 3.1155 -0.1409 1.8051
Co 6.9681 1.0894 2.4750
Co 6.9897 2.1160 -1.5849
Co 4.4661 -0.9293 -0.2082
Co 3.8836 -2.5224 1.5335
Co 3.8620 -3.5489 5.5935
Co 6.3856 -0.5037 4.2167
Co 6.5626 -5.0385 0.8839
Co 6.5391 -6.0765 4.9987
Co 9.0987 -2.9924 3.6036
Co 4.2891 3.6055 3.1246
Co 4.3127 4.6436 -0.9902
Co 1.7530 1.5594 0.4050
Co 5.4473 0.3061 -2.0474
Co 5.4259 -0.7165 2.0043
Co 2.9063 -3.7545 3.3769
Co 2.5195 3.0380 -1.3726
Co 2.4981 2.0155 2.6790
Co -0.0214 -1.0225 4.0516
Co 6.8123 0.1309 0.0739
Co 4.0395 -1.5639 3.9346
Cu 2.3003 0.0569 4.3370
Cu 8.5515 -1.4898 -0.3285
```

Values from the calculation:
The crystal system is monoclinic. Its volume is 491.45 Å³/cell. The formation enthalpy at 0 K comes out at -0.0658 eV per atom. The total magnetic moment is 43.508 μB/cell.

=====

Record 7
CeGa2Co3: optimized geometry, PBE.

Structure (extended XYZ):
```
18
Lattice="-0.8742 3.4327 -2.1407 4.2507 -3.1913 -6.8535 -4.2242 -4.7536 -5.8977" Properties=species:S:1:pos:R:3 pbc="T T T"
Ce -0.4299 -0.9323 -5.3207
Ce -0.4210 -3.5805 -9.5708
Ce 4.2507 -3.1913 -6.8534
Ga 0.0654 -3.9629 -6.3814
Ga 2.0980 -1.5766 -3.3850
Ga 2.1114 -5.5972 -9.8379
Ga -2.3344 -2.6083 -7.2304
Ga -1.5772 -5.3526 -11.9404
Ga -1.5965 0.4117 -2.6891
Co -0.0051 -1.4012 -2.2449
Co -1.9829 -3.6447 -5.0347
Co 2.0154 -2.8992 -5.4721
Co 0.0121 -6.5473 -10.5040
Co -1.9782 -5.0354 -7.2667
Co 2.0201 -4.3067 -7.7311
Co 1.2220 -1.9527 -7.6315
Co -3.3604 -4.0133 -9.0645
Co -3.3685 -1.5830 -5.1641
```

Values from the calculation:
The crystal system is hexagonal. Its volume is 269.57 Å³/cell. The formation enthalpy at 0 K comes out at -0.3888 eV per atom.

=====

Record 8
CeCo9Ge4: optimized geometry, PBE.

Structure (extended XYZ):
```
28
Lattice="-3.9345 3.9345 5.8947 3.9345 -3.9345 5.8947 3.9345 3.9345 -5.8947" Properties=species:S:1:pos:R:3 pbc="T T T"
Ce 0.0000 0.0000 8.8420
Ce 0.0000 0.0000 2.9473
Co 3.9345 0.0000 0.0000
Co 0.0000 3.9345 0.0000
Co 1.5685 0.5190 0.0000
Co 2.3660 3.4155 5.8947
Co 2.3660 4.4536 0.0000
Co 1.5685 -0.5190 5.8947
Co 0.5190 6.3006 0.0000
Co 3.4155 -2.3660 5.8947
Co 0.5190 1.5685 5.8947
Co 3.4155 2.3660 0.0000
Co 4.9038 0.9692 3.7968
Co 2.9653 -0.9692 3.7968
Co -0.9692 4.9038 3.7968
Co 0.9692 2.9653 3.7968
Co -0.9692 2.9653 2.0979
Co 0.9692 4.9038 2.0979
Co 4.9038 -0.9692 2.0979
Co 2.9653 0.9692 2.0979
Ge 5.3028 1.3683 -1.4788
Ge -1.3683 2.5663 4.4159
Ge 2.5663 1.3683 4.4159
Ge 1.3683 2.5663 -1.4788
Ge -1.3683 2.5663 7.3735
Ge 5.3028 1.3683 1.4788
Ge 1.3683 2.5663 1.4788
Ge 2.5663 1.3683 7.3735
```

Values from the calculation:
The crystal system is tetragonal. Its volume is 365.02 Å³/cell. The formation enthalpy at 0 K comes out at -0.2403 eV per atom. The total magnetic moment is 0.058 μB/cell.

=====

Record 9
CeCoGe2: optimized geometry, PBE.

Structure (extended XYZ):
```
8
Lattice="2.0962 -8.2916 0.0000 2.0962 8.2916 0.0000 0.0000 0.0000 4.2081" Properties=species:S:1:pos:R:3 pbc="T T T"
Ce 2.0962 -6.4540 1.0520
Ce 2.0962 6.4540 3.1561
Co 2.0962 -3.0027 1.0520
Co 2.0962 3.0027 3.1561
Ge 2.0962 -0.7226 1.0520
Ge 2.0962 0.7226 3.1561
Ge 2.0962 4.1499 1.0520
Ge 2.0962 -4.1499 3.1561
```

Values from the calculation:
The crystal system is orthorhombic. Its volume is 146.28 Å³/cell. The formation enthalpy at 0 K comes out at -0.6608 eV per atom.

=====

Record 10
CeCoGeH: optimized geometry, PBE.

Structure (extended XYZ):
```
8
Lattice="4.0010 0.0000 0.0000 0.0000 4.0010 0.0000 0.0000 0.0000 7.4488" Properties=species:S:1:pos:R:3 pbc="T T T"
Ce 2.0005 0.0000 2.4182
Ce 0.0000 2.0005 5.0306
Co 2.0005 2.0005 0.0000
Co 0.0000 0.0000 0.0000
Ge 2.0005 0.0000 6.1733
Ge 0.0000 2.0005 1.2754
H 0.0000 0.0000 3.7244
H 2.0005 2.0005 3.7244
```

Values from the calculation:
The crystal system is tetragonal. Its volume is 119.24 Å³/cell. The formation enthalpy at 0 K comes out at -0.6636 eV per atom.

=====

Record 11
CeCoGe2Ru: optimized geometry, PBE.

Structure (extended XYZ):
```
5
Lattice="-3.8216 -3.0385 3.2998 -4.7138 2.6702 2.3186 2.7171 -0.4705 -5.2079" Properties=species:S:1:pos:R:3 pbc="T T T"
Ce 0.0000 0.0000 0.0000
Co -2.6862 -1.8465 0.4506
Ge -5.3746 -0.2319 3.5378
Ge -3.1609 -0.1364 2.0807
Ru -3.1323 1.0078 -0.0400
```

Values from the calculation:
The crystal system is tetragonal. Its volume is 87.80 Å³/cell. The formation enthalpy at 0 K comes out at -0.6047 eV per atom. The total magnetic moment is 0.788 μB/cell.

=====

Record 12
CeCo5H4: optimized geometry, PBE.

Structure (extended XYZ):
```
10
Lattice="1.1074 0.1122 -5.0172 -4.9213 -0.5459 1.3763 -0.4481 4.0169 -0.0091" Properties=species:S:1:pos:R:3 pbc="T T T"
Ce -2.1310 1.7916 -1.8250
Co 0.0734 2.0322 -4.1628
Co -4.3354 1.5510 0.5128
Co -2.4606 -0.2729 0.6881
Co 0.5537 0.0561 -2.5086
Co 0.0000 0.0000 0.0000
H -1.0902 -0.1277 -2.6866
H -2.7237 -0.3060 -0.9543
H -2.6847 1.7355 0.6836
H 0.3297 2.0645 -2.5131
```

Values from the calculation:
The crystal system is orthorhombic. Its volume is 94.22 Å³/cell. The formation enthalpy at 0 K comes out at -0.2160 eV per atom. The total magnetic moment is 5.556 μB/cell.

=====

Record 13
Ce2In8Co: optimized geometry, PBE.

Structure (extended XYZ):
```
11
Lattice="4.6631 0.0000 0.0000 0.0000 4.6631 0.0000 0.0000 0.0000 12.3456" Properties=species:S:1:pos:R:3 pbc="T T T"
Ce 0.0000 0.0000 8.5956
Ce 0.0000 0.0000 3.7500
In 2.3316 0.0000 6.1728
In 2.3316 0.0000 10.8974
In 0.0000 2.3316 6.1728
In 0.0000 2.3316 10.8974
In 2.3316 2.3316 3.7718
In 2.3316 2.3316 8.5737
In 0.0000 2.3316 1.4482
In 2.3316 0.0000 1.4482
Co 0.0000 0.0000 0.0000
```

Values from the calculation:
The crystal system is tetragonal. Its volume is 268.45 Å³/cell. The formation enthalpy at 0 K comes out at -0.3046 eV per atom.

=====

Record 14
CeMg14Co: optimized geometry, PBE.

Structure (extended XYZ):
```
16
Lattice="3.2153 -5.5691 0.0000 3.2153 5.5691 0.0000 0.0000 0.0000 10.0698" Properties=species:S:1:pos:R:3 pbc="T T T"
Ce 0.0000 0.0000 5.0349
Mg 4.8105 -2.7774 0.0000
Mg 1.6626 2.7529 5.0349
Mg 1.6201 -2.7774 0.0000
Mg 4.7681 2.7529 5.0349
Mg 3.2153 -0.0144 0.0000
Mg 3.2153 0.0634 5.0349
Mg 3.2153 3.7452 2.3616
Mg 3.2153 3.7452 7.7081
Mg 1.5796 0.9120 2.3616
Mg 1.5796 0.9120 7.7081
Mg 4.8511 0.9120 2.3616
Mg 4.8511 0.9120 7.7081
Mg 3.2153 -1.8564 2.6003
Mg 3.2153 -1.8564 7.4694
Co 0.0000 0.0000 0.0000
```

Values from the calculation:
The crystal system is hexagonal. Its volume is 360.63 Å³/cell. The formation enthalpy at 0 K comes out at 0.1205 eV per atom. The total magnetic moment is 3.195 μB/cell.

=====

Record 15
CeMg14Co: optimized geometry, PBE.

Structure (extended XYZ):
```
16
Lattice="3.0504 -5.8327 0.0000 3.0504 5.8327 0.0000 0.0000 0.0000 10.5643" Properties=species:S:1:pos:R:3 pbc="T T T"
Ce 3.0504 2.1119 5.2821
Mg 3.0504 -3.8304 0.0000
Mg 3.0504 1.9655 0.0000
Mg 1.4697 -0.8008 5.2821
Mg 1.5415 -0.9311 0.0000
Mg 4.6312 -0.8008 5.2821
Mg 4.5594 -0.9311 0.0000
Mg 1.5162 0.9122 2.6519
Mg 1.5162 0.9122 7.9123
Mg 4.5847 0.9122 2.6519
Mg 4.5847 0.9122 7.9123
Mg 3.0504 -2.1212 2.9280
Mg 3.0504 -2.1212 7.6362
Mg 3.0504 3.8686 2.5200
Mg 3.0504 3.8686 8.0443
Co 3.0504 -3.9266 5.2821
```

Values from the calculation:
The crystal system is orthorhombic. Its volume is 375.92 Å³/cell. The formation enthalpy at 0 K comes out at 0.0834 eV per atom. The total magnetic moment is 0.468 μB/cell.

=====

Record 16
Ce2MgCo9: optimized geometry, PBE.

Structure (extended XYZ):
```
12
Lattice="-4.8815 5.7970 3.9419 -6.2246 1.3777 5.6858 -2.1763 3.5962 7.4366" Properties=species:S:1:pos:R:3 pbc="T T T"
Ce -0.0305 0.0247 0.0391
Ce -11.4118 9.2540 14.6612
Mg -1.8586 1.5072 2.3878
Co -8.8390 7.1676 11.3558
Co -4.4330 3.5947 5.6952
Co -8.6597 5.1629 9.9545
Co -6.6087 6.2869 10.8415
Co -7.9792 7.4019 9.0709
Co -4.6322 5.6026 7.1138
Co -6.6688 4.4865 6.2330
Co -5.3079 3.3793 7.9912
Co -6.6237 5.3713 8.5097
```

Values from the calculation:
The crystal system is trigonal. Its volume is 169.99 Å³/cell. The formation enthalpy at 0 K comes out at -0.1335 eV per atom. The total magnetic moment is 9.090 μB/cell.

=====

Record 17
CeMn4Co8: optimized geometry, PBE.

Structure (extended XYZ):
```
13
Lattice="0.0000 0.0000 4.6969 -4.2275 4.2275 2.3484 -4.2275 -4.2275 -2.3484" Properties=species:S:1:pos:R:3 pbc="T T T"
Ce 0.0000 0.0000 0.0000
Mn -4.2275 2.2601 4.6969
Mn -4.2275 -2.2601 0.0000
Mn -6.4876 0.0000 2.3484
Mn -1.9674 0.0000 2.3484
Co -2.1137 -2.1137 1.1742
Co -2.1137 -2.1137 -1.1742
Co -2.1137 2.1137 3.5226
Co -2.1137 2.1137 1.1742
Co -4.2275 -1.1574 2.3484
Co -4.2275 1.1574 2.3484
Co -3.0701 0.0000 0.0000
Co -5.3849 0.0000 0.0000
```

Values from the calculation:
The crystal system is tetragonal. Its volume is 167.88 Å³/cell. The formation enthalpy at 0 K comes out at 0.0201 eV per atom. The total magnetic moment is 21.726 μB/cell.

=====

Record 18
CeMn4Co8: optimized geometry, PBE.

Structure (extended XYZ):
```
13
Lattice="0.6056 -4.4246 0.9106 4.9185 -2.3464 -3.2660 3.9422 -0.7956 4.9183" Properties=species:S:1:pos:R:3 pbc="T T T"
Ce 0.0000 0.0000 0.0000
Mn 1.9711 -0.3978 2.4591
Mn 2.2739 -2.6101 2.9145
Mn 2.7621 -3.3855 -1.1777
Mn 2.4592 -1.1732 -1.6330
Co 4.2913 -1.3500 1.9923
Co 4.5695 -1.7919 -0.3400
Co 3.5570 -3.9660 1.1758
Co 5.9094 -3.6005 1.3871
Co 4.9988 -4.2052 -0.9453
Co 4.4676 -3.3613 3.5082
Co 7.2820 -5.6466 1.9386
Co 2.1843 -1.9199 0.6244
```

Values from the calculation:
The crystal system is tetragonal. Its volume is 160.30 Å³/cell. The formation enthalpy at 0 K comes out at 0.0119 eV per atom. The total magnetic moment is 14.935 μB/cell.

=====

Record 19
CeMn5Co7: optimized geometry, PBE.

Structure (extended XYZ):
```
13
Lattice="0.0000 0.0000 4.5933 -4.1628 4.1950 2.2967 -4.1628 -4.1950 -2.2967" Properties=species:S:1:pos:R:3 pbc="T T T"
Ce -4.1628 -4.1677 2.2967
Mn -6.2236 2.1010 3.4409
Mn -6.2236 2.1010 1.1524
Mn -2.1019 2.1010 3.4409
Mn -2.1019 2.1010 1.1524
Mn -4.1628 2.2596 4.5933
Co -4.1628 -1.1861 2.2967
Co -4.1628 1.1930 2.2967
Co -2.9744 -0.0044 0.0000
Co -5.3511 -0.0044 0.0000
Co -4.1628 -2.2834 0.0000
Co -6.4390 -0.0078 2.2967
Co -1.8865 -0.0078 2.2967
```

Values from the calculation:
The crystal system is orthorhombic. Its volume is 160.42 Å³/cell. The formation enthalpy at 0 K comes out at 0.0394 eV per atom. The total magnetic moment is 13.795 μB/cell.